1.
A relaxed K12Ag4As8CSe20O crystal, computed with PBE-GGA.

Lattice parameters (Å, degrees): 9.402 11.872 13.208 90.19 106.74 90.19
Atoms (fractional coordinates):
Se  0.250  0.434  0.292
As  0.917  0.943  0.393
As  0.506  0.925  0.255
Se  0.650  0.470  0.417
K  0.838  0.258  0.879
As  0.495  0.569  0.749
K  0.463  0.704  0.417
Se  0.512  0.102  0.350
O  0.157  0.525  0.576
K  0.134  0.124  0.194
Ag  0.331  0.007  0.461
K  0.139  0.364  0.708
Se  0.346  0.967  0.083
Se  0.742  0.930  0.210
As  0.502  0.079  0.751
Se  0.112  0.639  0.847
As  0.080  0.444  0.109
Se  0.277  0.066  0.800
Se  0.127  0.852  0.353
Se  0.796  0.688  0.975
Se  0.876  0.142  0.650
K  0.860  0.851  0.764
Se  0.341  0.519  0.567
As  0.091  0.055  0.615
As  0.488  0.428  0.247
Se  0.190  0.186  0.517
As  0.896  0.553  0.880
Se  0.184  0.312  0.014
K  0.145  0.749  0.105
K  0.862  0.626  0.301
Se  0.809  0.809  0.486
K  0.850  0.252  0.396
Se  0.501  0.397  0.850
Se  0.486  0.603  0.149
Ag  0.327  0.492  0.966
Ag  0.665  0.993  0.534
C  0.910  0.041  0.976
K  0.155  0.743  0.603
Se  0.731  0.991  0.952
Se  0.867  0.354  0.147
Ag  0.665  0.509  0.039
K  0.538  0.285  0.573
Se  0.721  0.566  0.694
K  0.446  0.798  0.917
K  0.528  0.200  0.080
Se  0.497  0.903  0.655

Properties
* E_form: -0.546 eV per atom
* magnetic moment: 0.000 μB/f.u.

=====

2.
A relaxed TbTmRh2 crystal, computed with PBE-GGA.

Lattice parameters (Å, degrees): 4.832 4.832 4.832 60.00 60.00 60.00
Atoms (fractional coordinates):
Rh  0.250  0.250  0.250
Tm  0.000  0.000  0.000
Tb  0.500  0.500  0.500
Rh  0.750  0.750  0.750

Properties
* E_form: -0.904 eV per atom

=====

3.
A relaxed Li2TlPb crystal, computed with PBE-GGA.

Lattice parameters (Å, degrees): 4.998 4.998 4.998 60.00 60.00 60.00
Atoms (fractional coordinates):
Li  0.250  0.250  0.250
Pb  0.500  0.500  0.500
Li  0.750  0.750  0.750
Tl  0.000  0.000  0.000

Properties
* E_form: -0.251 eV per atom

=====

4.
A relaxed Na6TaIn3Si4S2O24 crystal, computed with PBE-GGA.

Lattice parameters (Å, degrees): 9.183 9.214 22.703 89.66 90.18 120.17
Atoms (fractional coordinates):
Na  0.642  0.625  0.752
Si  0.668  0.632  0.583
Na  0.633  0.309  0.330
S  0.003  0.300  0.248
In  0.339  0.676  0.320
O  0.179  0.993  0.911
O  0.632  0.484  0.924
O  0.324  0.830  0.252
O  0.492  0.165  0.249
O  0.529  0.837  0.759
O  0.995  0.799  0.413
O  0.150  0.444  0.979
O  0.293  0.855  0.979
O  0.516  0.361  0.427
Ta  0.671  0.333  0.479
O  0.208  0.180  0.083
Ta  0.326  0.664  0.819
O  0.499  0.637  0.862
O  0.550  0.685  0.980
Na  0.325  0.655  0.665
Na  0.004  0.367  0.743
O  0.976  0.165  0.584
O  0.362  0.858  0.864
Si  0.334  0.367  0.419
In  0.340  0.657  0.513
Na  0.680  0.673  0.415
O  0.801  0.784  0.304
S  0.381  0.046  0.581
Na  0.676  0.959  0.575
S  0.701  0.700  0.251
O  0.510  0.153  0.924
O  0.848  0.315  0.246
S  0.695  0.994  0.750
Na  0.028  0.340  0.082
O  0.555  0.859  0.477
O  0.835  0.522  0.024
Si  0.668  0.038  0.085
O  0.848  0.508  0.750
O  0.967  0.806  0.081
In  0.660  0.324  0.184
O  0.818  0.818  0.911
Si  0.628  0.665  0.919
O  0.482  0.116  0.635
O  0.623  0.517  0.642
O  0.660  0.159  0.429
O  0.850  0.040  0.086
Si  0.638  0.970  0.417
Na  0.977  0.687  0.914
O  0.864  0.504  0.140
O  0.626  0.108  0.143
O  0.688  0.169  0.028
Si  0.300  0.302  0.751
Si  0.299  0.997  0.248
Na  0.620  0.999  0.252
Na  0.296  0.948  0.087
O  0.203  0.978  0.184
S  0.030  0.660  0.419
Na  0.316  0.679  0.169
O  0.355  0.876  0.574
O  0.105  0.631  0.367
Si  0.041  0.368  0.920
O  0.216  0.040  0.582
O  0.323  0.497  0.759
O  0.477  0.360  0.135
Na  0.981  0.991  0.993
O  0.142  0.637  0.080
Si  0.338  0.965  0.919
O  0.020  0.223  0.193
O  0.858  0.503  0.425
O  0.525  0.901  0.357
O  0.532  0.686  0.253
O  0.673  0.141  0.744
O  0.764  0.961  0.695
O  0.143  0.512  0.578
O  0.971  0.186  0.300
In  0.020  0.019  0.352
O  0.471  0.155  0.529
O  0.807  0.026  0.801
O  0.383  0.501  0.365
In  0.334  0.675  0.015
O  0.035  0.809  0.688
O  0.155  0.465  0.255
O  0.686  0.534  0.246
Na  0.324  0.292  0.911
O  0.959  0.783  0.806
S  0.377  0.335  0.081
O  0.356  0.483  0.077
Na  0.023  0.691  0.590
O  0.462  0.314  0.028
O  0.490  0.329  0.747
Si  0.962  0.336  0.585
Si  0.957  0.622  0.083
O  0.830  0.315  0.531
Si  0.007  0.705  0.750
O  0.178  0.687  0.760
O  0.130  0.687  0.474
O  0.778  0.806  0.196
O  0.305  0.436  0.482
O  0.509  0.848  0.079
O  0.202  0.016  0.304
O  0.847  0.813  0.584
In  0.672  0.349  0.685
Na  0.669  0.712  0.075
Na  0.000  0.026  0.494
Ta  0.681  0.333  0.976
O  0.178  0.178  0.416
O  0.181  0.233  0.691
O  0.860  0.371  0.922
O  0.507  0.664  0.580
Na  0.652  0.326  0.829
O  0.017  0.186  0.910
O  0.212  0.198  0.810
O  0.686  0.523  0.527
O  0.881  0.355  0.646
O  0.816  0.969  0.410
In  0.005  0.003  0.650
Na  0.297  0.347  0.584
In  0.002  0.988  0.148
O  0.136  0.500  0.863
In  0.004  0.999  0.851

Properties
* E_form: -2.496 eV per atom
* magnetic moment: 0.000 μB/f.u.

=====

5.
A relaxed Mn3Ge crystal, computed with PBE-GGA.

Lattice parameters (Å, degrees): 3.651 3.651 3.651 90.00 90.00 90.00
Atoms (fractional coordinates):
Ge  0.000  0.000  0.000
Mn  0.500  0.500  0.000
Mn  0.500  0.000  0.500
Mn  0.000  0.500  0.500

Properties
* E_form: -0.039 eV per atom
* magnetic moment: 5.324 μB/f.u.

=====

6.
A relaxed Zr4Os2N crystal, computed with PBE-GGA.

Lattice parameters (Å, degrees): 8.807 8.807 8.807 60.00 60.00 60.00
Atoms (fractional coordinates):
Zr  0.625  0.125  0.625
Os  0.836  0.491  0.836
Zr  0.125  0.625  0.625
N  0.125  0.625  0.125
Os  0.759  0.414  0.414
Zr  0.185  0.815  0.815
Zr  0.435  0.065  0.435
Zr  0.065  0.065  0.435
Os  0.414  0.414  0.414
N  0.125  0.125  0.125
Os  0.414  0.759  0.414
Zr  0.815  0.185  0.185
N  0.125  0.125  0.625
Zr  0.815  0.185  0.815
Os  0.491  0.836  0.836
Zr  0.435  0.435  0.065
N  0.625  0.125  0.125
Os  0.414  0.414  0.759
Zr  0.625  0.625  0.125
Zr  0.065  0.435  0.065
Os  0.836  0.836  0.491
Zr  0.185  0.815  0.185
Zr  0.815  0.815  0.185
Zr  0.065  0.435  0.435
Os  0.836  0.836  0.836
Zr  0.435  0.065  0.065
Zr  0.185  0.185  0.815
Zr  0.625  0.625  0.625

Properties
* E_form: -0.848 eV per atom

=====

7.
A relaxed CaZrSi3H4O11 crystal, computed with PBE-GGA.

Lattice parameters (Å, degrees): 7.416 10.313 12.920 90.00 90.00 90.00
Atoms (fractional coordinates):
Si  0.454  0.748  0.652
Si  0.046  0.248  0.848
Si  0.546  0.252  0.348
O  0.214  0.937  0.923
Ca  0.500  0.000  0.000
O  0.442  0.380  0.308
O  0.430  0.264  0.978
O  0.930  0.236  0.478
O  0.449  0.112  0.335
H  0.858  0.982  0.371
Ca  0.000  0.500  0.000
O  0.789  0.618  0.882
H  0.370  0.378  0.542
O  0.786  0.937  0.423
O  0.789  0.382  0.618
O  0.930  0.764  0.022
H  0.142  0.982  0.871
O  0.570  0.264  0.478
O  0.558  0.620  0.692
O  0.714  0.437  0.077
H  0.630  0.378  0.042
Si  0.250  0.250  0.054
O  0.442  0.620  0.192
O  0.558  0.380  0.808
O  0.058  0.880  0.192
Si  0.546  0.748  0.152
H  0.358  0.518  0.871
H  0.858  0.018  0.129
O  0.949  0.612  0.665
O  0.058  0.120  0.308
Si  0.954  0.248  0.348
O  0.211  0.618  0.382
Si  0.046  0.752  0.652
H  0.358  0.482  0.629
O  0.286  0.563  0.923
O  0.214  0.063  0.577
O  0.286  0.437  0.577
O  0.551  0.112  0.835
Zr  0.758  0.500  0.750
O  0.942  0.120  0.808
Si  0.954  0.752  0.152
H  0.130  0.122  0.542
O  0.949  0.388  0.835
O  0.711  0.118  0.618
H  0.642  0.482  0.129
O  0.714  0.563  0.423
Zr  0.258  0.000  0.250
O  0.449  0.888  0.165
Zr  0.242  0.500  0.250
O  0.786  0.063  0.077
H  0.370  0.622  0.958
H  0.870  0.878  0.458
O  0.250  0.250  0.799
H  0.142  0.018  0.629
H  0.870  0.122  0.042
Zr  0.742  0.000  0.750
O  0.942  0.880  0.692
Si  0.454  0.252  0.848
O  0.070  0.764  0.522
O  0.250  0.750  0.701
O  0.430  0.736  0.522
O  0.211  0.382  0.118
O  0.750  0.750  0.201
Si  0.750  0.750  0.946
O  0.711  0.882  0.882
Si  0.250  0.750  0.446
O  0.289  0.882  0.382
Ca  0.500  0.000  0.500
O  0.551  0.888  0.665
H  0.130  0.878  0.958
O  0.070  0.236  0.978
O  0.750  0.250  0.299
O  0.570  0.736  0.022
O  0.051  0.612  0.165
H  0.642  0.518  0.371
Ca  0.000  0.500  0.500
O  0.289  0.118  0.118
Si  0.750  0.250  0.554
H  0.630  0.622  0.458
O  0.051  0.388  0.335

Properties
* E_form: -2.781 eV per atom
* magnetic moment: 0.000 μB/f.u.

=====

8.
A relaxed K2LaTa6Br15O3 crystal, computed with PBE-GGA.

Lattice parameters (Å, degrees): 9.596 9.596 18.083 90.00 90.00 120.00
Atoms (fractional coordinates):
O  0.819  0.639  0.250
Ta  0.811  0.983  0.686
Br  0.927  0.397  0.385
Br  0.073  0.470  0.885
Ta  0.172  0.983  0.814
Br  0.214  0.786  0.250
Br  0.530  0.603  0.885
K  0.333  0.667  0.047
K  0.667  0.333  0.953
Ta  0.189  0.172  0.186
Ta  0.983  0.811  0.186
Br  0.786  0.572  0.750
Br  0.428  0.214  0.750
Br  0.981  0.777  0.915
Br  0.603  0.073  0.115
Br  0.073  0.603  0.615
O  0.181  0.819  0.750
Ta  0.828  0.017  0.186
Ta  0.017  0.189  0.814
Br  0.981  0.204  0.585
Br  0.786  0.214  0.750
K  0.667  0.333  0.547
Ta  0.828  0.811  0.314
Br  0.214  0.428  0.250
Ta  0.983  0.172  0.314
La  0.667  0.333  0.250
La  0.333  0.667  0.750
Br  0.796  0.777  0.585
Ta  0.811  0.828  0.814
Br  0.927  0.530  0.115
O  0.361  0.181  0.250
Ta  0.189  0.017  0.314
Br  0.777  0.981  0.415
O  0.181  0.361  0.750
Br  0.572  0.786  0.250
Br  0.019  0.796  0.415
O  0.639  0.819  0.750
Br  0.603  0.530  0.385
Br  0.223  0.204  0.915
K  0.333  0.667  0.453
Br  0.397  0.470  0.615
Br  0.530  0.927  0.615
Br  0.204  0.223  0.415
Br  0.397  0.927  0.885
Br  0.019  0.223  0.085
Ta  0.172  0.189  0.686
O  0.819  0.181  0.250
Ta  0.017  0.828  0.686
Br  0.796  0.019  0.915
Br  0.470  0.073  0.385
Br  0.470  0.397  0.115
Br  0.223  0.019  0.585
Br  0.204  0.981  0.085
Br  0.777  0.796  0.085

Properties
* E_form: -1.557 eV per atom
* magnetic moment: 0.068 μB/f.u.

=====

9.
A relaxed Li2CaTa2O7 crystal, computed with PBE-GGA.

Lattice parameters (Å, degrees): 9.618 9.618 5.581 90.00 90.00 146.34
Atoms (fractional coordinates):
O  0.616  0.384  0.500
Li  0.261  0.739  0.500
Ta  0.359  0.136  0.750
O  0.676  0.676  0.250
Ta  0.136  0.359  0.750
Li  0.739  0.261  0.000
Ta  0.641  0.864  0.250
O  0.384  0.616  0.000
Ta  0.864  0.641  0.250
O  0.384  0.616  0.500
O  0.005  0.578  0.250
O  0.616  0.384  0.000
Ca  0.746  0.746  0.750
Li  0.739  0.261  0.500
O  0.086  0.914  0.000
O  0.324  0.324  0.750
O  0.914  0.086  0.000
Ca  0.254  0.254  0.250
O  0.578  0.005  0.250
Li  0.261  0.739  0.000
O  0.422  0.995  0.750
O  0.995  0.422  0.750
O  0.914  0.086  0.500
O  0.086  0.914  0.500

Properties
* energy relative to the lowest polymorph listed for this composition: 0.07 eV/f.u.
* E_form: -3.204 eV per atom
* magnetic moment: 0.000 μB/f.u.

=====

Number 1: volume 30.69 Å³/atom. Number 2: volume 19.94 Å³/atom. Number 3: volume 22.07 Å³/atom. Number 4: volume 13.84 Å³/atom. Number 5: volume 12.17 Å³/atom. Number 6: volume 17.25 Å³/atom. Number 7: volume 12.35 Å³/atom. Number 8: volume 26.71 Å³/atom. Number 9: volume 11.92 Å³/atom.